# Nb2SiNi3 | the Materials Project database | PBE-GGA | relaxed
# volume: 13.20 Å³ per atom
# energy of formation from the pure elements: -453 meV per atom
data_Nb2SiNi3
_space_group_name_H-M_alt 'P 63/m m c'
_space_group_IT_number 194
_space_group_name_Hall '-P 6c 2c'
_cell_length_a 4.8718
_cell_length_b 4.8718
_cell_length_c 7.7053
_cell_angle_alpha 90.00
_cell_angle_beta 90.00
_cell_angle_gamma 120.00
loop_
_atom_site_label
_atom_site_fract_x
_atom_site_fract_y
_atom_site_fract_z
Nb1 0.3333 0.6667 0.0601
Si1 0.0000 0.0000 0.0000
Ni1 0.1689 0.3378 0.7500